Compound: CaNiO2
Source: the Materials Project database
Functional: GGA+U
Structure: optimized geometry

abc: 3.0221 8.5435 9.3318
angles: 81.66 80.71 80.35
Space group P-1 (No. 2)
Unique sites:
Ca  0.0847  0.1412  0.1852 [2 per cell]
Ca  0.3397  0.2377  0.5655 [2 per cell]
Ni  0.2155  0.1978  0.8689 [2 per cell]
Ni  0.3679  0.4563  0.3030 [2 per cell]
O  0.0941  0.6944  0.6313 [2 per cell]
O  0.1774  0.4060  0.7375 [2 per cell]
O  0.1784  0.8868  0.2810 [2 per cell]
O  0.3511  0.8147  0.9845 [2 per cell]

Calculated values
magnetic moment: 8.0 μB/cell
crystal system: triclinic
ΔH_f (0 K): -7.625 eV/f.u.